(1)
Density functional theory data (r2SCAN) for a geometry-optimized La3Mg structure.

Structure (extended XYZ):
```
4
Lattice="3.782 0.000 0.000 0.000 5.795 0.000 0.000 0.000 6.112" Properties=species:S:1:pos:R:3 pbc="T T T"
La 0.000 0.000 0.000
La 0.000 2.898 2.521
La 1.891 0.000 3.417
Mg 1.891 2.898 5.450
```

As for the crystal system: orthorhombic. The space group is Pmm2, No. 25.



(2)
Density functional theory data (r2SCAN) for a geometry-optimized La2Mg structure.

Structure (extended XYZ):
```
6
Lattice="5.405 -3.147 0.000 5.405 3.147 0.000 0.000 0.000 5.606" Properties=species:S:1:pos:R:3 pbc="T T T"
La 3.770 2.188 4.204
La 7.041 2.188 4.204
La 3.770 -2.188 1.401
La 7.041 -2.188 1.401
Mg 5.405 0.920 1.401
Mg 5.405 -0.920 4.204
```

As for the crystal system: orthorhombic. The space group is Cmcm, No. 63. The polymorph energy (0 for the lowest one) is 0.3 kJ/mol of atoms.



(3)
Density functional theory data (r2SCAN) for a geometry-optimized LaMg2 structure.

Structure (extended XYZ):
```
6
Lattice="0.000 4.392 4.392 4.392 0.000 4.392 4.392 4.392 0.000" Properties=species:S:1:pos:R:3 pbc="T T T"
La 1.098 1.098 1.098
La 7.686 7.686 7.686
Mg 4.392 2.196 2.196
Mg 2.196 4.392 2.196
Mg 2.196 2.196 4.392
Mg 4.392 4.392 4.392
```

As for the crystal system: cubic. The space group is Fd-3m, No. 227.



(4)
Density functional theory data (r2SCAN) for a geometry-optimized LaMg2Ni9 structure.

Structure (extended XYZ):
```
12
Lattice="2.432 1.404 7.835 -2.432 1.404 7.835 0.000 -2.808 7.835" Properties=species:S:1:pos:R:3 pbc="T T T"
La 0.000 0.000 0.000
Mg 0.000 0.000 3.407
Mg 0.000 0.000 20.099
Ni -1.227 -0.708 9.843
Ni 0.000 0.000 7.841
Ni 0.000 -1.416 13.663
Ni -1.227 0.708 13.663
Ni 0.000 0.000 11.753
Ni 1.227 -0.708 9.843
Ni 0.000 1.416 9.843
Ni 0.000 0.000 15.665
Ni 1.227 0.708 13.663
```

As for the crystal system: trigonal. The space group is R-3m, No. 166.



(5)
Density functional theory data (r2SCAN) for a geometry-optimized LaMgNi4 structure.

Structure (extended XYZ):
```
6
Lattice="0.000 3.537 3.537 3.537 0.000 3.537 3.537 3.537 0.000" Properties=species:S:1:pos:R:3 pbc="T T T"
La 0.000 0.000 0.000
Mg 1.768 1.768 1.768
Ni 4.408 2.665 2.665
Ni 2.665 4.408 2.665
Ni 2.665 2.665 4.408
Ni 4.408 4.408 4.408
```

As for the crystal system: cubic. The space group is F-43m, No. 216.



(6)
Density functional theory data (r2SCAN) for a geometry-optimized RbLaMg14O16 structure.

Structure (extended XYZ):
```
32
Lattice="8.747 0.000 0.000 0.000 8.747 0.000 0.000 0.000 4.521" Properties=species:S:1:pos:R:3 pbc="T T T"
Rb 0.000 0.000 0.000
La 4.374 4.374 0.000
Mg 0.000 2.200 2.261
Mg 0.000 4.374 0.000
Mg 0.000 6.547 2.261
Mg 2.025 4.374 2.261
Mg 2.103 2.103 0.000
Mg 2.103 6.644 0.000
Mg 2.200 0.000 2.261
Mg 4.374 0.000 0.000
Mg 4.374 2.025 2.261
Mg 4.374 6.723 2.261
Mg 6.547 0.000 2.261
Mg 6.644 2.103 0.000
Mg 6.644 6.644 0.000
Mg 6.723 4.374 2.261
O 0.000 0.000 2.261
O 0.000 2.440 0.000
O 0.000 4.374 2.261
O 0.000 6.307 0.000
O 2.052 4.374 0.000
O 2.198 2.198 2.261
O 2.198 6.549 2.261
O 2.440 0.000 0.000
O 4.374 0.000 2.261
O 4.374 2.052 0.000
O 4.374 4.374 2.261
O 4.374 6.696 0.000
O 6.307 0.000 0.000
O 6.549 2.198 2.261
O 6.549 6.549 2.261
O 6.696 4.374 0.000
```

As for the crystal system: tetragonal. The space group is P4/mmm, No. 123.



(7)
Density functional theory data (r2SCAN) for a geometry-optimized Sr2La2MgRuO8 structure.

Structure (extended XYZ):
```
28
Lattice="3.887 0.000 0.000 -1.943 6.618 0.000 -1.942 -1.975 14.915" Properties=species:S:1:pos:R:3 pbc="T T T"
Sr -0.971 0.779 6.918
Sr -0.971 1.928 10.706
Sr 0.973 2.715 4.209
Sr 0.973 3.863 7.997
La -0.972 -1.486 11.818
La 0.972 1.672 0.526
La -0.970 2.971 14.389
La 0.974 6.129 3.097
Mg -0.966 3.835 1.880
Mg 0.968 0.807 13.035
Ru -0.971 5.039 5.595
Ru 0.973 -0.396 9.320
O -0.971 3.309 0.000
O -2.916 2.919 12.519
O -0.970 -0.422 9.340
O -0.970 4.478 3.749
O -0.971 3.086 6.210
O -0.970 6.055 1.255
O -0.974 0.694 13.065
O 0.971 0.358 4.873
O 0.973 -0.987 7.457
O -0.969 4.285 10.042
O 0.976 3.949 1.850
O 0.972 -1.412 13.660
O 0.974 1.556 8.705
O 0.973 0.165 11.165
O 0.972 5.065 5.575
O 2.918 1.723 2.396
```

As for the crystal system: triclinic. The space group is P-1, No. 2.



(8)
Density functional theory data (r2SCAN) for a geometry-optimized LaMgPd structure.

Structure (extended XYZ):
```
9
Lattice="7.759 0.000 0.000 -3.879 6.719 0.000 0.000 0.000 4.145" Properties=species:S:1:pos:R:3 pbc="T T T"
La -2.259 3.912 0.000
La 1.621 2.807 0.000
La 4.518 0.000 0.000
Mg -0.903 1.564 2.073
Mg 1.806 0.000 2.073
Mg 2.976 5.155 2.073
Pd 0.000 0.000 0.000
Pd 0.000 4.479 2.073
Pd 3.879 2.240 2.073
```

As for the crystal system: hexagonal. The space group is P-62m, No. 189.



(9)
Density functional theory data (r2SCAN) for a geometry-optimized LaMg2Pd structure.

Structure (extended XYZ):
```
8
Lattice="2.172 -5.246 0.000 2.172 5.246 0.000 0.000 0.000 8.327" Properties=species:S:1:pos:R:3 pbc="T T T"
La 2.172 4.611 6.245
La 2.172 -4.611 2.082
Mg 2.172 1.613 4.614
Mg 2.172 1.613 7.877
Mg 2.172 -1.613 0.450
Mg 2.172 -1.613 3.713
Pd 2.172 2.912 2.082
Pd 2.172 -2.912 6.245
```

As for the crystal system: orthorhombic. The space group is Cmcm, No. 63.



(10)
Density functional theory data (r2SCAN) for a geometry-optimized LaPmMg2 structure.

Structure (extended XYZ):
```
4
Lattice="0.000 3.919 3.919 3.919 0.000 3.919 3.919 3.919 0.000" Properties=species:S:1:pos:R:3 pbc="T T T"
La 0.000 0.000 0.000
Pm 3.919 3.919 3.919
Mg 1.959 1.959 1.959
Mg 5.878 5.878 5.878
```

As for the crystal system: cubic. The space group is Fm-3m, No. 225.



(11)
Density functional theory data (r2SCAN) for a geometry-optimized La4MgRh structure.

Structure (extended XYZ):
```
24
Lattice="0.000 7.200 7.200 7.200 0.000 7.200 7.200 7.200 0.000" Properties=species:S:1:pos:R:3 pbc="T T T"
La 9.427 4.973 4.973
La 3.600 3.600 0.884
La 3.600 0.884 3.600
La 6.316 3.600 3.600
La 7.200 7.200 2.713
La 7.200 2.713 7.200
La 11.687 7.200 7.200
La 0.884 3.600 3.600
La 3.600 6.316 3.600
La 3.600 3.600 6.316
La 4.973 9.427 4.973
La 4.973 4.973 9.427
La 9.427 9.427 9.427
La 2.713 7.200 7.200
La 7.200 11.687 7.200
La 7.200 7.200 11.687
Mg 6.079 6.079 6.079
Mg 8.321 8.321 6.079
Mg 8.321 6.079 8.321
Mg 6.079 8.321 8.321
Rh 12.364 9.234 9.234
Rh 9.234 12.364 9.234
Rh 9.234 9.234 12.364
Rh 12.364 12.364 12.364
```

As for the crystal system: cubic. The space group is F-43m, No. 216.



(12)
Density functional theory data (r2SCAN) for a geometry-optimized LaMgRh structure.

Structure (extended XYZ):
```
24
Lattice="7.638 0.000 0.000 0.000 4.182 0.000 0.000 0.000 16.909" Properties=species:S:1:pos:R:3 pbc="T T T"
La 0.352 1.046 3.696
La 1.272 1.046 7.413
La 2.547 3.137 15.867
La 3.467 3.137 12.150
La 4.171 1.046 4.759
La 5.091 1.046 1.042
La 6.366 3.137 9.496
La 7.287 3.137 13.213
Mg 0.044 3.137 1.061
Mg 1.026 1.046 10.976
Mg 2.793 3.137 2.522
Mg 3.775 1.046 9.515
Mg 3.863 3.137 7.394
Mg 4.845 1.046 14.387
Mg 6.612 3.137 5.933
Mg 7.595 1.046 15.848
Rh 1.865 1.046 1.056
Rh 1.868 3.137 5.303
Rh 1.951 1.046 13.758
Rh 1.954 3.137 9.510
Rh 5.684 1.046 7.399
Rh 5.687 3.137 3.151
Rh 5.770 1.046 11.605
Rh 5.773 3.137 15.853
```

As for the crystal system: orthorhombic. The space group is Pnma, No. 62.



no.,ρ (Mg/m³),formation energy from the elements (eV/atom),volume (Å³/atom)
1,5.47,-0.02,33.5
2,5.26,-0.04,31.8
3,3.68,-0.15,28.2
4,7.40,-0.19,13.4
5,7.47,-0.24,14.7
6,3.94,-2.68,10.8
7,6.11,-2.93,13.7
8,6.22,-0.66,24.0
9,5.15,-0.54,23.7
10,4.59,-0.12,30.1
11,6.08,-0.39,31.1
12,6.54,-0.63,22.5